A plane-wave DFT calculation with GGA-PBE was carried out for a geometry-optimized Na2SO2 structure.

Properties
Its crystal system is orthorhombic. The total magnetization is 2.00 μB per formula unit. As for the calculated density: 1.523 g cm⁻³. Its total energy is -4.14 eV per atom.

Cell and atoms, written as POSCAR:
```
Na2SO2
1.0
0.0000 6.6552 7.0806
5.0928 0.0000 7.0806
5.0928 6.6552 0.0000
Na S O
8 4 8
Direct
0.1346 0.2637 0.3180 Na
0.2163 0.6820 0.7363 Na
0.2637 0.1346 0.7837 Na
0.3180 0.7837 0.1346 Na
0.6820 0.2163 0.8654 Na
0.7363 0.8654 0.2163 Na
0.7837 0.3180 0.2637 Na
0.8654 0.7363 0.6820 Na
0.0000 0.0000 0.0000 S
0.0000 0.0000 0.5000 S
0.0000 0.5000 0.0000 S
0.5000 0.0000 0.0000 S
0.0808 0.4599 0.7718 O
0.1875 0.7718 0.4599 O
0.2282 0.8125 0.9192 O
0.4599 0.0808 0.1875 O
0.5401 0.9192 0.8125 O
0.7718 0.1875 0.0808 O
0.8125 0.2282 0.5401 O
0.9192 0.5401 0.2282 O
```

***

A plane-wave DFT calculation with GGA-PBE was carried out for a geometry-optimized Na2S2O3 structure.

Properties
Its crystal system is monoclinic. The total magnetization is 0.00 μB per formula unit. Its polymorph energy (0 for the lowest one) is 0.0000 eV/atom. As for the calculated density: 2.285 g cm⁻³.

Cell and atoms, written as POSCAR:
```
Na2S2O3
1.0
8.6206 0.0000 0.0000
0.0000 8.2421 0.0000
-0.8329 0.0000 6.4690
Na S O
8 8 12
Direct
0.0460 0.1980 0.1238 Na
0.0460 0.3020 0.6238 Na
0.4139 0.6210 0.7078 Na
0.4139 0.8790 0.2078 Na
0.5861 0.1210 0.7922 Na
0.5861 0.3790 0.2922 Na
0.9540 0.6980 0.3762 Na
0.9540 0.8020 0.8762 Na
0.2336 0.5484 0.2080 S
0.2336 0.9516 0.7080 S
0.2871 0.1031 0.4829 S
0.2871 0.3969 0.9829 S
0.7129 0.6031 0.0171 S
0.7129 0.8969 0.5171 S
0.7664 0.0484 0.2920 S
0.7664 0.4516 0.7920 S
0.1219 0.0362 0.8282 O
0.1219 0.4638 0.3282 O
0.1621 0.7016 0.1201 O
0.1621 0.7984 0.6201 O
0.3836 0.5878 0.3403 O
0.3836 0.9122 0.8403 O
0.6164 0.0878 0.1597 O
0.6164 0.4122 0.6597 O
0.8379 0.2016 0.3799 O
0.8379 0.2984 0.8799 O
0.8781 0.5362 0.6718 O
0.8781 0.9638 0.1718 O
```

***

A plane-wave DFT calculation with GGA-PBE was carried out for a geometry-optimized Na2S2O7 structure.

Properties
Its crystal system is triclinic. As for the calculated density: 2.496 g cm⁻³. Its total energy is -5.76 eV per atom.

Cell and atoms, written as POSCAR:
```
Na2S2O7
1.0
6.8853 0.0000 0.0000
0.7722 6.8842 0.0000
3.0991 0.4031 6.2357
Na S O
4 4 14
Direct
0.1153 0.1641 0.2569 Na
0.2751 0.3642 0.6760 Na
0.7249 0.6358 0.3240 Na
0.8847 0.8359 0.7431 Na
0.2303 0.6594 0.2478 S
0.3576 0.8603 0.8149 S
0.6424 0.1397 0.1851 S
0.7697 0.3406 0.7522 S
0.0820 0.8261 0.3486 O
0.1170 0.5119 0.2097 O
0.2105 0.7433 0.7869 O
0.2647 0.0529 0.8912 O
0.3719 0.5837 0.3472 O
0.4111 0.7411 0.0132 O
0.4216 0.1434 0.3555 O
0.5784 0.8566 0.6445 O
0.5889 0.2589 0.9868 O
0.6281 0.4163 0.6528 O
0.7353 0.9471 0.1088 O
0.7895 0.2567 0.2131 O
0.8830 0.4881 0.7903 O
0.9180 0.1739 0.6514 O
```

***

A plane-wave DFT calculation with GGA-PBE was carried out for a geometry-optimized Na2S2O3 structure.

Properties
Its crystal system is triclinic. The total magnetization is 1.04 μB per formula unit. Its polymorph energy (0 for the lowest one) is 0.9525 eV/atom. As for the calculated density: 1.548 g cm⁻³.

Cell and atoms, written as POSCAR:
```
Na2S2O3
1.0
7.7152 0.0000 0.0000
3.4272 7.0266 0.0000
1.1372 0.2955 9.3864
Na S O
6 6 9
Direct
0.0000 0.0000 0.0000 Na
0.0258 0.9603 0.4332 Na
0.3925 0.6424 0.8381 Na
0.4583 0.6221 0.4545 Na
0.6534 0.7223 0.0764 Na
0.9528 0.5790 0.4177 Na
0.0392 0.6467 0.8402 S
0.1322 0.6366 0.6336 S
0.2062 0.6395 0.1576 S
0.7350 0.3439 0.8978 S
0.8033 0.3166 0.5351 S
0.9303 0.2839 0.7214 S
0.2137 0.6617 0.3186 O
0.3020 0.7622 0.0738 O
0.3193 0.9771 0.3434 O
0.3951 0.0835 0.3723 O
0.4049 0.9138 0.6855 O
0.5781 0.8047 0.7186 O
0.6440 0.7592 0.3255 O
0.6543 0.9149 0.3580 O
0.9875 0.7501 0.1396 O
```

***

A plane-wave DFT calculation with GGA-PBE was carried out for a geometry-optimized Na4S2O5 structure.

Properties
Its crystal system is triclinic. The total magnetization is 0.00 μB per formula unit. As for the calculated density: 2.409 g cm⁻³. The maximum piezoelectric response comes out at 4.345 C/m2. Its total energy is -4.94 eV per atom.

Cell and atoms, written as POSCAR:
```
Na4S2O5
1.0
5.2673 0.0000 0.0000
2.4906 4.8848 0.0000
0.5244 -0.0451 6.3239
Na S O
4 2 5
Direct
0.0000 0.0000 0.0000 Na
0.0036 0.0066 0.5029 Na
0.3355 0.3086 0.7809 Na
0.6278 0.6899 0.2799 Na
0.3088 0.3457 0.3173 S
0.7025 0.6559 0.8069 S
0.1670 0.6486 0.2468 O
0.2425 0.1888 0.1523 O
0.4271 0.8445 0.6788 O
0.6330 0.2463 0.2832 O
0.7800 0.3425 0.7576 O
```

***

A plane-wave DFT calculation with GGA-PBE was carried out for a geometry-optimized Na2S2O5 structure.

Properties
Its crystal system is monoclinic. The total magnetization is 0.00 μB per formula unit. Its polymorph energy (0 for the lowest one) is 0.0000 eV/atom. As for the calculated density: 2.222 g cm⁻³.

Cell and atoms, written as POSCAR:
```
Na2S2O5
1.0
9.3164 0.0000 0.0000
0.0000 5.5202 0.0000
-7.1513 0.0000 22.0998
Na S O
16 16 40
Direct
0.0792 0.2255 0.0694 Na
0.0792 0.2745 0.5694 Na
0.1538 0.2311 0.7336 Na
0.1538 0.2689 0.2336 Na
0.3444 0.6825 0.5152 Na
0.3444 0.8175 0.0152 Na
0.4174 0.7335 0.6840 Na
0.4174 0.7665 0.1840 Na
0.5826 0.2335 0.8160 Na
0.5826 0.2665 0.3160 Na
0.6556 0.1825 0.9848 Na
0.6556 0.3175 0.4848 Na
0.8462 0.7311 0.7664 Na
0.8462 0.7689 0.2664 Na
0.9208 0.7255 0.4306 Na
0.9208 0.7745 0.9306 Na
0.0237 0.7331 0.1495 S
0.0237 0.7669 0.6495 S
0.1800 0.2009 0.4389 S
0.1800 0.2991 0.9389 S
0.3239 0.7388 0.8105 S
0.3239 0.7612 0.3105 S
0.4682 0.2230 0.6028 S
0.4682 0.2770 0.1028 S
0.5318 0.7230 0.8972 S
0.5318 0.7770 0.3972 S
0.6761 0.2388 0.6895 S
0.6761 0.2612 0.1895 S
0.8200 0.7009 0.0611 S
0.8200 0.7991 0.5611 S
0.9763 0.2331 0.3505 S
0.9763 0.2669 0.8505 S
0.0200 0.1381 0.2984 O
0.0200 0.3619 0.7984 O
0.0599 0.5042 0.6549 O
0.0599 0.9958 0.1549 O
0.1350 0.1041 0.9758 O
0.1350 0.3959 0.4758 O
0.1479 0.5850 0.1395 O
0.1479 0.9150 0.6395 O
0.1492 0.5460 0.9597 O
0.1492 0.9540 0.4597 O
0.3492 0.1243 0.1155 O
0.3492 0.3757 0.6155 O
0.3545 0.5193 0.2865 O
0.3545 0.9807 0.7865 O
0.3644 0.5370 0.7743 O
0.3644 0.9630 0.2743 O
0.4258 0.5368 0.0945 O
0.4258 0.9632 0.5945 O
0.4882 0.6758 0.4487 O
0.4882 0.8242 0.9487 O
0.5118 0.1758 0.0513 O
0.5118 0.3242 0.5513 O
0.5742 0.0368 0.4055 O
0.5742 0.4632 0.9055 O
0.6356 0.0370 0.7257 O
0.6356 0.4630 0.2257 O
0.6455 0.0193 0.2135 O
0.6455 0.4807 0.7135 O
0.6508 0.6243 0.3845 O
0.6508 0.8757 0.8845 O
0.8508 0.0460 0.5403 O
0.8508 0.4540 0.0403 O
0.8521 0.0850 0.3605 O
0.8521 0.4150 0.8605 O
0.8650 0.6041 0.5242 O
0.8650 0.8959 0.0242 O
0.9401 0.0042 0.8451 O
0.9401 0.4958 0.3451 O
0.9800 0.6381 0.2016 O
0.9800 0.8619 0.7016 O
```

***

A plane-wave DFT calculation with GGA-PBE was carried out for a geometry-optimized Na2Sb8S13O2 structure.

Properties
Its crystal system is monoclinic. The total magnetization is 3.91 μB per formula unit. As for the calculated density: 3.625 g cm⁻³. Its total energy is -4.14 eV per atom.

Cell and atoms, written as POSCAR:
```
Na2Sb8S13O2
1.0
4.9391 -11.8389 0.0000
4.9391 11.8389 0.0000
-4.3666 0.0000 5.7536
Na Sb S O
2 8 13 2
Direct
0.0739 0.9261 0.0000 Na
0.9261 0.0739 0.0000 Na
0.1433 0.8066 0.5001 Sb
0.2282 0.7354 0.9643 Sb
0.3075 0.4944 0.7771 Sb
0.4063 0.7415 0.4917 Sb
0.4944 0.3075 0.7771 Sb
0.7354 0.2282 0.9643 Sb
0.7415 0.4063 0.4917 Sb
0.8066 0.1433 0.5001 Sb
0.0185 0.1680 0.4980 S
0.0787 0.5294 0.5565 S
0.1680 0.0185 0.4980 S
0.3240 0.9807 0.9381 S
0.3844 0.5322 0.4957 S
0.4782 0.4782 0.9798 S
0.5294 0.0787 0.5565 S
0.5322 0.3844 0.4957 S
0.6046 0.9532 0.9308 S
0.6436 0.8542 0.4349 S
0.8542 0.6436 0.4349 S
0.9532 0.6046 0.9308 S
0.9807 0.3240 0.9381 S
0.1532 0.1532 0.9680 O
0.8338 0.8338 0.9706 O
```

***

A plane-wave DFT calculation with GGA-PBE was carried out for a geometry-optimized Na2Sc4SiS5O24 structure.

Properties
Its crystal system is triclinic. The total magnetization is 0.00 μB per formula unit. As for the calculated density: 2.511 g cm⁻³. Its total energy is -7.02 eV per atom.

Cell and atoms, written as POSCAR:
```
Na2Sc4SiS5O24
1.0
8.8689 0.0000 0.0000
4.4337 7.6954 0.0000
0.0305 -0.0131 23.2035
Na Sc Si S O
6 12 3 15 72
Direct
0.0000 0.0000 0.0000 Na
0.0016 0.0070 0.5083 Na
0.3441 0.3227 0.8387 Na
0.3458 0.3355 0.3442 Na
0.6665 0.6735 0.6775 Na
0.6735 0.6677 0.1724 Na
0.0063 0.0040 0.8579 Sc
0.0067 0.0002 0.1540 Sc
0.0183 0.9989 0.6588 Sc
0.3401 0.3242 0.6964 Sc
0.3404 0.3350 0.1908 Sc
0.3478 0.3255 0.9818 Sc
0.3510 0.3348 0.4881 Sc
0.6598 0.6903 0.8199 Sc
0.6701 0.6594 0.3256 Sc
0.6772 0.6537 0.5256 Sc
0.6770 0.6752 0.0195 Sc
0.9983 0.0100 0.3634 Sc
0.2988 0.9994 0.7579 Si
0.6709 0.3757 0.4240 Si
0.6808 0.9595 0.9230 Si
0.0074 0.2922 0.2563 S
0.0077 0.7094 0.7564 S
0.0488 0.6249 0.0907 S
0.0500 0.3341 0.5897 S
0.2974 0.7106 0.2565 S
0.3385 0.6263 0.5904 S
0.3403 0.0425 0.0908 S
0.3819 0.6688 0.9238 S
0.3831 0.9587 0.4236 S
0.6316 0.3352 0.0907 S
0.6330 0.0416 0.5900 S
0.7154 0.0005 0.2564 S
0.7163 0.2932 0.7565 S
0.9633 0.3769 0.9234 S
0.9648 0.6662 0.4235 S
0.0272 0.1803 0.5953 O
0.0301 0.8008 0.0992 O
0.0341 0.7883 0.8082 O
0.0356 0.1847 0.3078 O
0.1301 0.3610 0.6413 O
0.1334 0.5176 0.1432 O
0.1372 0.3618 0.9318 O
0.1376 0.5094 0.4300 O
0.1557 0.3093 0.5375 O
0.1558 0.5471 0.0395 O
0.1651 0.3100 0.2488 O
0.1664 0.5367 0.7489 O
0.1774 0.0318 0.8138 O
0.1807 0.8004 0.5947 O
0.1821 0.0254 0.0992 O
0.1913 0.7891 0.3081 O
0.2089 0.8241 0.9186 O
0.2091 0.9727 0.7000 O
0.2099 0.9732 0.4158 O
0.2140 0.8179 0.2043 O
0.3107 0.1507 0.0397 O
0.3146 0.5442 0.5379 O
0.3170 0.5344 0.2487 O
0.3186 0.1730 0.7493 O
0.3603 0.1345 0.4299 O
0.3611 0.5135 0.9319 O
0.3648 0.1263 0.1431 O
0.3663 0.5191 0.6416 O
0.4633 0.6921 0.9766 O
0.4630 0.8522 0.4751 O
0.4720 0.6937 0.2612 O
0.4905 0.6351 0.8725 O
0.4901 0.8813 0.3710 O
0.4906 0.8258 0.7605 O
0.4942 0.6473 0.5832 O
0.4943 0.8676 0.0860 O
0.4993 0.3547 0.4299 O
0.5029 0.1505 0.9320 O
0.5236 0.3582 0.1432 O
0.5246 0.1238 0.6413 O
0.5403 0.1585 0.2488 O
0.5402 0.3136 0.7491 O
0.5498 0.1497 0.5378 O
0.5523 0.3063 0.0396 O
0.6428 0.4938 0.3665 O
0.6425 0.8714 0.8683 O
0.6492 0.8683 0.5824 O
0.6509 0.4896 0.0858 O
0.6965 0.8455 0.2622 O
0.7014 0.4646 0.7632 O
0.7032 0.8437 0.9812 O
0.7043 0.4660 0.4794 O
0.7915 0.1850 0.8083 O
0.7953 0.0284 0.3079 O
0.8067 0.0246 0.5956 O
0.8067 0.1769 0.0991 O
0.8214 0.2107 0.7042 O
0.8236 0.9765 0.2044 O
0.8449 0.1838 0.4157 O
0.8502 0.9816 0.9183 O
0.8527 0.4675 0.2619 O
0.8553 0.6853 0.7623 O
0.8562 0.6985 0.4751 O
0.8575 0.4557 0.9765 O
0.8750 0.4934 0.5840 O
0.8747 0.6420 0.0868 O
0.8838 0.6423 0.3710 O
0.8850 0.4820 0.8720 O
0.9776 0.8172 0.7043 O
0.9817 0.2095 0.2044 O
0.9842 0.2020 0.9194 O
0.9865 0.8207 0.4157 O
```